(1)
# Na14Y4Ga4Si7S5O48 (PBE-GGA, optimized geometry)
# Total magnetization = 0.00 μB per formula unit
# Crystal system = triclinic
data_Na14Y4Ga4Si7S5O48
_chemical_formula_sum 'Na42 Y12 Ga12 Si21 S15 O144'
_space_group_name_H-M_alt 'P 1'
_space_group_IT_number 1
_space_group_name_Hall 'P 1'
_cell_length_a 9.193
_cell_length_b 15.932
_cell_length_c 22.608
_cell_angle_alpha 89.74
_cell_angle_beta 89.92
_cell_angle_gamma 89.98
loop_
_atom_site_label
_atom_site_fract_x
_atom_site_fract_y
_atom_site_fract_z
_atom_site_occupancy
Na1 0.000 0.000 0.000 1
Na2 0.000 0.968 0.654 1
Na3 0.025 0.309 0.000 1
Na4 0.036 0.975 0.328 1
Na5 0.044 0.643 0.649 1
Na6 0.162 0.812 0.242 1
Na7 0.168 0.158 0.921 1
Na8 0.177 0.487 0.576 1
Na9 0.186 0.490 0.087 1
Na10 0.192 0.815 0.739 1
Na11 0.195 0.148 0.420 1
Na12 0.314 0.977 0.825 1
Na13 0.316 0.637 0.155 1
Na14 0.324 0.318 0.486 1
Na15 0.351 0.969 0.161 1
Na16 0.353 0.623 0.504 1
Na17 0.367 0.325 0.175 1
Na18 0.372 0.675 0.833 1
Na19 0.484 0.823 0.666 1
Na20 0.485 0.178 0.335 1
Na21 0.498 0.128 0.011 1
Na22 0.502 0.470 0.656 1
Na23 0.529 0.816 0.994 1
Na24 0.537 0.142 0.648 1
Na25 0.557 0.476 0.325 1
Na26 0.659 0.645 0.923 1
Na27 0.668 0.988 0.582 1
Na28 0.674 0.326 0.246 1
Na29 0.677 0.987 0.082 1
Na30 0.691 0.315 0.740 1
Na31 0.693 0.649 0.413 1
Na32 0.809 0.145 0.153 1
Na33 0.818 0.474 0.828 1
Na34 0.826 0.807 0.494 1
Na35 0.855 0.126 0.511 1
Na36 0.857 0.501 0.487 1
Na37 0.858 0.470 0.169 1
Na38 0.869 0.171 0.831 1
Na39 0.875 0.823 0.173 1
Na40 0.977 0.326 0.668 1
Na41 0.983 0.663 0.334 1
Na42 0.999 0.624 0.014 1
Y1 0.162 0.812 0.397 1
Y2 0.169 0.145 0.761 1
Y3 0.177 0.477 0.939 1
Y4 0.182 0.135 0.565 1
Y5 0.183 0.152 0.262 1
Y6 0.185 0.819 0.896 1
Y7 0.669 0.634 0.067 1
Y8 0.670 0.651 0.762 1
Y9 0.675 0.978 0.438 1
Y10 0.677 0.321 0.394 1
Y11 0.690 0.313 0.898 1
Y12 0.693 0.642 0.264 1
Ga1 0.161 0.481 0.724 1
Ga2 0.177 0.127 0.067 1
Ga3 0.178 0.479 0.431 1
Ga4 0.179 0.810 0.595 1
Ga5 0.180 0.480 0.233 1
Ga6 0.182 0.814 0.098 1
Ga7 0.663 0.980 0.728 1
Ga8 0.663 0.980 0.939 1
Ga9 0.672 0.316 0.596 1
Ga10 0.673 0.310 0.096 1
Ga11 0.676 0.625 0.566 1
Ga12 0.693 0.981 0.224 1
Si1 0.019 0.661 0.501 1
Si2 0.027 0.992 0.164 1
Si3 0.029 0.959 0.500 1
Si4 0.035 0.333 0.827 1
Si5 0.312 0.337 0.333 1
Si6 0.324 0.669 0.999 1
Si7 0.326 0.964 0.001 1
Si8 0.331 0.986 0.669 1
Si9 0.371 0.646 0.664 1
Si10 0.483 0.146 0.162 1
Si11 0.516 0.485 0.168 1
Si12 0.523 0.463 0.500 1
Si13 0.532 0.171 0.499 1
Si14 0.545 0.840 0.833 1
Si15 0.820 0.835 0.327 1
Si16 0.822 0.459 0.000 1
Si17 0.826 0.492 0.664 1
Si18 0.832 0.159 0.998 1
Si19 0.857 0.146 0.666 1
Si20 0.902 0.478 0.330 1
Si21 0.996 0.649 0.163 1
S1 0.024 0.294 0.157 1
S2 0.033 0.626 0.827 1
S3 0.323 0.623 0.332 1
S4 0.328 0.302 0.664 1
S5 0.381 0.307 0.003 1
S6 0.386 0.979 0.326 1
S7 0.468 0.479 0.826 1
S8 0.471 0.807 0.504 1
S9 0.526 0.801 0.164 1
S10 0.533 0.121 0.832 1
S11 0.820 0.124 0.327 1
S12 0.829 0.798 0.661 1
S13 0.878 0.818 0.999 1
S14 0.956 0.980 0.831 1
S15 0.973 0.316 0.502 1
O1 0.002 0.461 0.004 1
O2 0.002 0.826 0.323 1
O3 0.006 0.482 0.667 1
O4 0.011 0.152 0.008 1
O5 0.035 0.717 0.441 1
O6 0.048 0.057 0.107 1
O7 0.050 0.243 0.211 1
O8 0.052 0.904 0.831 1
O9 0.054 0.056 0.831 1
O10 0.063 0.394 0.498 1
O11 0.069 0.579 0.881 1
O12 0.071 0.242 0.507 1
O13 0.078 0.393 0.769 1
O14 0.080 0.900 0.557 1
O15 0.083 0.058 0.499 1
O16 0.083 0.377 0.889 1
O17 0.088 0.922 0.437 1
O18 0.089 0.252 0.105 1
O19 0.089 0.379 0.162 1
O20 0.095 0.585 0.773 1
O21 0.096 0.567 0.495 1
O22 0.097 0.563 0.172 1
O23 0.098 0.712 0.828 1
O24 0.101 0.237 0.828 1
O25 0.101 0.733 0.156 1
O26 0.102 0.032 0.223 1
O27 0.102 0.899 0.153 1
O28 0.103 0.709 0.556 1
O29 0.246 0.577 0.002 1
O30 0.248 0.239 0.334 1
O31 0.250 0.931 0.940 1
O32 0.251 0.722 0.055 1
O33 0.252 0.895 0.656 1
O34 0.254 0.708 0.334 1
O35 0.256 0.022 0.731 1
O36 0.258 0.060 0.006 1
O37 0.262 0.265 0.611 1
O38 0.263 0.384 0.395 1
O39 0.263 0.583 0.278 1
O40 0.263 0.727 0.653 1
O41 0.265 0.387 0.670 1
O42 0.271 0.558 0.671 1
O43 0.272 0.389 0.273 1
O44 0.286 0.231 0.006 1
O45 0.288 0.055 0.326 1
O46 0.288 0.382 0.000 1
O47 0.290 0.576 0.387 1
O48 0.290 0.715 0.935 1
O49 0.293 0.902 0.328 1
O50 0.294 0.901 0.057 1
O51 0.299 0.247 0.716 1
O52 0.314 0.060 0.620 1
O53 0.338 0.473 0.175 1
O54 0.342 0.472 0.494 1
O55 0.354 0.172 0.503 1
O56 0.363 0.833 0.830 1
O57 0.365 0.810 0.161 1
O58 0.366 0.126 0.108 1
O59 0.371 0.126 0.829 1
O60 0.377 0.487 0.879 1
O61 0.378 0.798 0.451 1
O62 0.380 0.477 0.771 1
O63 0.382 0.816 0.558 1
O64 0.391 0.170 0.222 1
O65 0.460 0.671 0.724 1
O66 0.471 0.314 0.057 1
O67 0.473 0.297 0.949 1
O68 0.474 0.977 0.270 1
O69 0.477 0.987 0.379 1
O70 0.483 0.630 0.328 1
O71 0.489 0.310 0.661 1
O72 0.490 0.627 0.610 1
O73 0.493 0.328 0.330 1
O74 0.502 0.670 0.002 1
O75 0.507 0.972 0.997 1
O76 0.510 0.972 0.672 1
O77 0.527 0.556 0.116 1
O78 0.554 0.403 0.559 1
O79 0.557 0.745 0.215 1
O80 0.561 0.402 0.828 1
O81 0.565 0.883 0.500 1
O82 0.566 0.555 0.827 1
O83 0.566 0.732 0.507 1
O84 0.569 0.074 0.887 1
O85 0.571 0.215 0.436 1
O86 0.583 0.058 0.170 1
O87 0.589 0.766 0.109 1
O88 0.589 0.894 0.774 1
O89 0.590 0.887 0.170 1
O90 0.591 0.559 0.506 1
O91 0.592 0.226 0.151 1
O92 0.593 0.082 0.778 1
O93 0.596 0.207 0.834 1
O94 0.596 0.888 0.895 1
O95 0.597 0.394 0.156 1
O96 0.599 0.524 0.227 1
O97 0.603 0.221 0.557 1
O98 0.605 0.742 0.833 1
O99 0.606 0.428 0.442 1
O100 0.607 0.077 0.503 1
O101 0.744 0.204 0.053 1
O102 0.752 0.399 0.653 1
O103 0.752 0.530 0.725 1
O104 0.752 0.740 0.327 1
O105 0.753 0.230 0.658 1
O106 0.755 0.209 0.328 1
O107 0.758 0.059 0.676 1
O108 0.758 0.063 0.990 1
O109 0.759 0.083 0.273 1
O110 0.761 0.759 0.608 1
O111 0.767 0.423 0.936 1
O112 0.768 0.557 0.000 1
O113 0.768 0.884 0.667 1
O114 0.773 0.395 0.054 1
O115 0.773 0.879 0.389 1
O116 0.779 0.896 0.269 1
O117 0.780 0.745 0.004 1
O118 0.786 0.076 0.381 1
O119 0.790 0.897 0.995 1
O120 0.793 0.562 0.332 1
O121 0.795 0.396 0.327 1
O122 0.802 0.746 0.714 1
O123 0.803 0.559 0.609 1
O124 0.816 0.213 0.936 1
O125 0.839 0.655 0.511 1
O126 0.847 0.983 0.166 1
O127 0.850 0.961 0.504 1
O128 0.853 0.325 0.823 1
O129 0.862 0.302 0.154 1
O130 0.868 0.986 0.886 1
O131 0.869 0.979 0.776 1
O132 0.873 0.630 0.824 1
O133 0.882 0.326 0.556 1
O134 0.884 0.303 0.449 1
O135 0.892 0.631 0.106 1
O136 0.892 0.672 0.219 1
O137 0.960 0.168 0.724 1
O138 0.961 0.125 0.610 1
O139 0.968 0.806 0.946 1
O140 0.970 0.829 0.053 1
O141 0.981 0.128 0.324 1
O142 0.991 0.805 0.657 1
O143 0.996 0.479 0.268 1
O144 0.999 0.490 0.391 1

(2)
# TaB4W3 (PBE-GGA, optimized geometry)
# Crystal system = orthorhombic
data_TaB4W3
_chemical_formula_sum 'Ta1 B4 W3'
_space_group_name_H-M_alt 'P m m 2'
_space_group_IT_number 25
_space_group_name_Hall 'P 2 -2'
_cell_length_a 3.114
_cell_length_b 3.211
_cell_length_c 8.599
_cell_angle_alpha 90.00
_cell_angle_beta 90.00
_cell_angle_gamma 90.00
loop_
_atom_site_label
_atom_site_fract_x
_atom_site_fract_y
_atom_site_fract_z
_atom_site_occupancy
Ta1 0.000 0.000 0.000 1
B1 0.000 0.000 0.295 1
B2 0.000 0.500 0.793 1
B3 0.500 0.000 0.416 1
B4 0.500 0.500 0.911 1
W1 0.000 0.500 0.499 1
W2 0.500 0.000 0.707 1
W3 0.500 0.500 0.213 1

(3)
# CeCu6 (PBE-GGA, optimized geometry)
# Crystal system = monoclinic
data_CeCu6
_chemical_formula_sum 'Ce4 Cu24'
_space_group_name_H-M_alt 'P 1 21/c 1'
_space_group_IT_number 14
_space_group_name_Hall '-P 2ybc'
_cell_length_a 5.027
_cell_length_b 10.104
_cell_length_c 8.065
_cell_angle_alpha 90.00
_cell_angle_beta 90.99
_cell_angle_gamma 90.00
loop_
_atom_site_label
_atom_site_fract_x
_atom_site_fract_y
_atom_site_fract_z
_atom_site_occupancy
Ce1 0.243 0.065 0.241 1
Cu1 0.003 0.193 0.566 1
Cu2 0.250 0.516 0.100 1
Cu3 0.251 0.744 0.683 1
Cu4 0.252 0.143 0.854 1
Cu5 0.267 0.594 0.438 1
Cu6 0.493 0.190 0.563 1

(4)
# Al3Bi5I12 (PBE-GGA, optimized geometry)
# Total magnetization = 0.01 μB per formula unit
# Crystal system = orthorhombic
data_Al3Bi5I12
_chemical_formula_sum 'Al12 Bi20 I48'
_space_group_name_H-M_alt 'P n m a'
_space_group_IT_number 62
_space_group_name_Hall '-P 2ac 2n'
_cell_length_a 22.480
_cell_length_b 19.109
_cell_length_c 8.359
_cell_angle_alpha 90.00
_cell_angle_beta 90.00
_cell_angle_gamma 90.00
loop_
_atom_site_label
_atom_site_fract_x
_atom_site_fract_y
_atom_site_fract_z
_atom_site_occupancy
Al1 0.076 0.250 0.038 1
Al2 0.133 0.539 0.673 1
Bi1 0.129 0.750 0.914 1
Bi2 0.165 0.250 0.574 1
Bi3 0.223 0.660 0.086 1
Bi4 0.241 0.250 0.270 1
I1 0.005 0.750 0.181 1
I2 0.026 0.250 0.314 1
I3 0.069 0.577 0.912 1
I4 0.092 0.067 0.528 1
I5 0.138 0.645 0.480 1
I6 0.145 0.144 0.008 1
I7 0.239 0.520 0.787 1

(5)
# MgTe4Mo2W2S4 (PBE-GGA, optimized geometry)
# Total magnetization = 0.05 μB per formula unit
# Crystal system = monoclinic
data_MgTe4Mo2W2S4
_chemical_formula_sum 'Mg2 Te8 Mo4 W4 S8'
_space_group_name_H-M_alt 'C 1 m 1'
_space_group_IT_number 8
_space_group_name_Hall 'C -2y'
_cell_length_a 5.842
_cell_length_b 3.374
_cell_length_c 42.330
_cell_angle_alpha 90.00
_cell_angle_beta 90.07
_cell_angle_gamma 90.00
loop_
_atom_site_label
_atom_site_fract_x
_atom_site_fract_y
_atom_site_fract_z
_atom_site_occupancy
Mg1 0.000 0.000 0.000 1
Te1 0.331 0.000 0.242 1
Te2 0.332 0.000 0.332 1
Te3 0.498 0.500 0.679 1
Te4 0.499 0.500 0.768 1
Mo1 0.331 0.000 0.723 1
Mo2 0.499 0.500 0.906 1
W1 0.332 0.000 0.103 1
W2 0.498 0.500 0.287 1
S1 0.332 0.000 0.942 1
S2 0.333 0.000 0.871 1
S3 0.498 0.500 0.067 1
S4 0.499 0.500 0.138 1

(6)
# SiNiN2 (PBE-GGA, optimized geometry)
# Total magnetization = 0.01 μB per formula unit
# Crystal system = hexagonal
data_SiNiN2
_chemical_formula_sum 'Si2 Ni2 N4'
_space_group_name_H-M_alt 'P 63/m m c'
_space_group_IT_number 194
_space_group_name_Hall '-P 6c 2c'
_cell_length_a 2.7233
_cell_length_b 2.7233
_cell_length_c 11.7168
_cell_angle_alpha 90.00
_cell_angle_beta 90.00
_cell_angle_gamma 120.00
loop_
_atom_site_label
_atom_site_fract_x
_atom_site_fract_y
_atom_site_fract_z
_atom_site_occupancy
Si1 0.3333 0.6667 0.2500 1
Ni1 0.0000 0.0000 0.0000 1
N1 0.0000 0.0000 0.1551 1

(7)
# Sr3Os3N5 (PBE-GGA, optimized geometry)
# Total magnetization = 0.00 μB per formula unit
# Crystal system = triclinic
data_Sr3Os3N5
_chemical_formula_sum 'Sr6 Os6 N10'
_space_group_name_H-M_alt 'P -1'
_space_group_IT_number 2
_space_group_name_Hall '-P 1'
_cell_length_a 5.938
_cell_length_b 7.198
_cell_length_c 9.534
_cell_angle_alpha 110.56
_cell_angle_beta 105.05
_cell_angle_gamma 92.34
loop_
_atom_site_label
_atom_site_fract_x
_atom_site_fract_y
_atom_site_fract_z
_atom_site_occupancy
Sr1 0.160 0.365 0.393 1
Sr2 0.161 0.193 0.712 1
Sr3 0.323 0.922 0.116 1
Os1 0.146 0.415 0.089 1
Os2 0.383 0.825 0.470 1
Os3 0.407 0.627 0.791 1
N1 0.140 0.597 0.855 1
N2 0.232 0.042 0.428 1
N3 0.321 0.204 0.000 1
N4 0.372 0.743 0.635 1
N5 0.398 0.605 0.283 1

Number 1: DFT formation energy -2.61 eV per atom. Number 2: DFT formation energy -0.48 eV per atom. Number 3: DFT formation energy -0.11 eV per atom. Number 4: DFT formation energy -0.70 eV per atom. Number 5: DFT formation energy -0.53 eV per atom. Number 6: DFT formation energy -0.05 eV per atom. Number 7: DFT formation energy -0.29 eV per atom.